Crystalline AgHg2AsO4 at its relaxed geometry, computed with PBE.

```
32
Lattice="8.9702 0.0000 0.0000 0.0000 9.8570 0.0000 0.0000 0.0000 6.3746" Properties=species:S:1:pos:R:3 pbc="T T T"
Ag 0.2656 1.4165 0.0000
Ag 4.2195 6.3450 0.0000
Ag 4.7508 3.5120 0.0000
Ag 8.7046 8.4405 0.0000
Hg 2.1700 9.5416 1.3480
Hg 2.1700 9.5416 5.0266
Hg 2.3151 4.6131 1.3480
Hg 2.3151 4.6131 5.0266
Hg 6.6551 5.2439 1.3480
Hg 6.6551 5.2439 5.0266
Hg 6.8002 0.3154 1.3480
Hg 6.8002 0.3154 5.0266
As 0.3376 7.0221 3.1873
As 4.1475 2.0936 3.1873
As 4.8227 7.7634 3.1873
As 8.6326 2.8349 3.1873
O 0.5342 2.9966 1.7078
O 0.5342 2.9966 4.6668
O 1.0481 8.6005 3.1873
O 1.5750 5.7890 3.1873
O 2.9101 0.8605 3.1873
O 3.4370 3.6720 3.1873
O 3.9509 7.9251 1.7078
O 3.9509 7.9251 4.6668
O 5.0194 1.9320 1.7078
O 5.0194 1.9320 4.6668
O 5.5332 6.1850 3.1873
O 6.0601 8.9965 3.1873
O 7.3952 4.0680 3.1873
O 7.9222 1.2565 3.1873
O 8.4360 6.8605 1.7078
O 8.4360 6.8605 4.6668
```

Summary:
Crystal system ... orthorhombic
Energy of formation ... -1.059 eV/atom
Final energy ... -134.4 eV per cell
MP2020-corrected energy ... -4.54 eV per atom
Symmetry ... Pbam, No. 55